DFT (PBE-GGA) results for Na15Ta5Zn7P18O72 after structural relaxation.

Unit cell a=8.894 b=8.919 c=22.271 alpha=89.83 beta=89.95 gamma=60.12
Sites, in units of the cell vectors:
Na1 0.000 0.000 0.000
Na2 0.000 0.372 0.752
Na3 0.019 0.680 0.916
Na4 0.297 0.680 0.413
Na5 0.302 0.019 0.916
Na6 0.333 0.333 0.830
Na7 0.334 0.336 0.325
Na8 0.357 0.013 0.247
Na9 0.373 0.627 0.753
Na10 0.628 0.001 0.753
Na11 0.666 0.677 0.663
Na12 0.674 0.658 0.157
Na13 0.679 0.302 0.916
Na14 0.691 0.347 0.580
Na15 0.997 0.002 0.492
Ta1 0.004 0.996 0.646
Ta2 0.332 0.329 0.480
Ta3 0.333 0.334 0.987
Ta4 0.673 0.663 0.313
Ta5 0.997 0.001 0.147
Zn1 0.000 0.000 0.850
Zn2 0.332 0.341 0.185
Zn3 0.333 0.332 0.681
Zn4 0.667 0.667 0.020
Zn5 0.667 0.667 0.822
Zn6 0.667 0.674 0.518
Zn7 0.993 0.007 0.351
P1 0.001 0.706 0.753
P2 0.002 0.289 0.252
P3 0.037 0.627 0.088
P4 0.039 0.337 0.587
P5 0.289 0.706 0.254
P6 0.293 0.001 0.753
P7 0.334 0.625 0.585
P8 0.336 0.037 0.089
P9 0.373 0.666 0.918
P10 0.376 0.955 0.419
P11 0.624 0.038 0.587
P12 0.627 0.337 0.088
P13 0.665 0.962 0.918
P14 0.672 0.373 0.421
P15 0.706 0.293 0.751
P16 0.708 0.003 0.253
P17 0.956 0.670 0.420
P18 0.961 0.373 0.918
O1 0.028 0.163 0.590
O2 0.031 0.808 0.092
O3 0.032 0.784 0.809
O4 0.033 0.178 0.307
O5 0.118 0.358 0.645
O6 0.125 0.517 0.141
O7 0.143 0.495 0.425
O8 0.150 0.353 0.927
O9 0.157 0.314 0.244
O10 0.158 0.538 0.029
O11 0.161 0.029 0.091
O12 0.163 0.307 0.532
O13 0.163 0.526 0.745
O14 0.163 0.807 0.590
O15 0.185 0.031 0.809
O16 0.187 0.821 0.913
O17 0.190 0.981 0.697
O18 0.192 0.787 0.312
O19 0.195 0.981 0.411
O20 0.198 0.834 0.199
O21 0.304 0.534 0.529
O22 0.305 0.160 0.031
O23 0.312 0.163 0.745
O24 0.320 0.525 0.246
O25 0.354 0.497 0.927
O26 0.355 0.121 0.144
O27 0.361 0.519 0.642
O28 0.365 0.139 0.426
O29 0.458 0.698 0.971
O30 0.458 0.843 0.473
O31 0.469 0.833 0.752
O32 0.474 0.701 0.258
O33 0.481 0.621 0.859
O34 0.489 0.858 0.078
O35 0.492 0.368 0.425
O36 0.492 0.646 0.578
O37 0.494 0.871 0.361
O38 0.496 0.150 0.927
O39 0.519 0.355 0.141
O40 0.523 0.148 0.245
O41 0.525 0.312 0.745
O42 0.526 0.118 0.645
O43 0.530 0.167 0.532
O44 0.538 0.305 0.029
O45 0.619 0.900 0.859
O46 0.635 0.500 0.366
O47 0.652 0.859 0.579
O48 0.655 0.488 0.078
O49 0.688 0.453 0.478
O50 0.696 0.828 0.258
O51 0.698 0.470 0.751
O52 0.698 0.844 0.971
O53 0.786 0.183 0.808
O54 0.790 0.025 0.309
O55 0.806 0.036 0.590
O56 0.809 0.161 0.091
O57 0.821 0.993 0.913
O58 0.822 0.192 0.412
O59 0.827 0.193 0.695
O60 0.828 0.972 0.196
O61 0.829 0.472 0.259
O62 0.832 0.699 0.752
O63 0.843 0.458 0.971
O64 0.852 0.691 0.476
O65 0.856 0.484 0.579
O66 0.857 0.655 0.077
O67 0.867 0.639 0.363
O68 0.899 0.481 0.859
O69 0.969 0.200 0.196
O70 0.980 0.829 0.697
O71 0.992 0.187 0.913
O72 0.996 0.815 0.412

Computed properties:
As for the space group: P1 (1). The value obtained for the formation energy from the elements is -2.66 eV/atom.